# 1
A relaxed Lu2NiOs crystal. Source: the Materials Project database, functional GGA-PBE.

Unit cell a=4.697 b=4.697 c=4.697 alpha=60.00 beta=60.00 gamma=60.00
Atoms (fractional coordinates):
Lu1 0.250 0.250 0.250
Lu2 0.750 0.750 0.750
Ni1 0.500 0.500 0.500
Os1 0.000 0.000 0.000

## Properties
The value obtained for the calculated formation energy is -0.4317 eV/atom. Its symmetry is Fm-3m. The value obtained for the uncorrected energy is -0.25519 hartree per atom.

***

# 2
A relaxed LuNi4P2 crystal. Source: the Materials Project database, functional GGA-PBE.

Unit cell a=7.011 b=7.011 c=3.580 alpha=90.00 beta=90.00 gamma=90.00
Atoms (fractional coordinates):
Lu1 0.500 0.500 0.000
Lu2 0.000 0.000 0.500
Ni1 0.164 0.585 0.500
Ni2 0.836 0.415 0.500
Ni3 0.336 0.085 0.000
Ni4 0.664 0.915 0.000
Ni5 0.585 0.164 0.500
Ni6 0.415 0.836 0.500
Ni7 0.085 0.336 0.000
Ni8 0.915 0.664 0.000
P1 0.719 0.719 0.500
P2 0.281 0.281 0.500
P3 0.781 0.219 0.000
P4 0.219 0.781 0.000

## Properties
The value obtained for the calculated formation energy is -0.8347 eV/atom. Its symmetry is P4_2/mnm. The calculation puts the spin magnetization at 0.040 μB per formula unit. The value obtained for the uncorrected energy is -0.23263 hartree per atom.

***

# 3
A relaxed Lu2Ni12P7 crystal. Source: the Materials Project database, functional GGA-PBE.

Unit cell a=9.008 b=9.008 c=3.647 alpha=90.00 beta=90.00 gamma=120.00
Atoms (fractional coordinates):
Lu1 0.333 0.667 0.000
Lu2 0.667 0.333 0.500
Ni1 0.153 0.276 0.000
Ni2 0.724 0.877 0.000
Ni3 0.123 0.847 0.000
Ni4 0.382 0.432 0.500
Ni5 0.568 0.950 0.500
Ni6 0.050 0.618 0.500
Ni7 0.437 0.061 0.000
Ni8 0.939 0.376 0.000
Ni9 0.624 0.563 0.000
Ni10 0.217 0.094 0.500
Ni11 0.906 0.123 0.500
Ni12 0.877 0.783 0.500
P1 0.114 0.408 0.500
P2 0.592 0.705 0.500
P3 0.295 0.886 0.500
P4 0.408 0.292 0.000
P5 0.708 0.116 0.000
P6 0.884 0.592 0.000
P7 0.000 0.000 0.000

## Properties
The value obtained for the calculated formation energy is -0.7655 eV/atom. Its symmetry is P-6. The value obtained for the uncorrected energy is -0.23165 hartree per atom.

***

# 4
A relaxed LuNiPb crystal. Source: the Materials Project database, functional GGA-PBE.

Unit cell a=7.442 b=7.442 c=3.809 alpha=90.00 beta=90.00 gamma=120.00
Atoms (fractional coordinates):
Lu1 0.598 0.000 0.500
Lu2 0.402 0.402 0.500
Lu3 0.000 0.598 0.500
Ni1 0.333 0.667 0.000
Ni2 0.667 0.333 0.000
Ni3 0.000 0.000 0.500
Pb1 0.266 0.000 0.000
Pb2 0.734 0.734 0.000
Pb3 0.000 0.266 0.000

## Properties
The value obtained for the calculated formation energy is -0.4067 eV/atom. Its symmetry is P-62m. The value obtained for the uncorrected energy is -0.18661 hartree per atom.

***

# 5
A relaxed LuSi2Ni2 crystal. Source: the Materials Project database, functional GGA-PBE.

Unit cell a=5.486 b=5.486 c=5.486 alpha=138.16 beta=138.16 gamma=60.66
Atoms (fractional coordinates):
Lu1 0.000 0.000 0.000
Si1 0.625 0.625 0.000
Si2 0.375 0.375 0.000
Ni1 0.250 0.750 0.500
Ni2 0.750 0.250 0.500

## Properties
The value obtained for the calculated formation energy is -0.8403 eV/atom. Its symmetry is I4/mmm. The value obtained for the uncorrected energy is -0.22882 hartree per atom.

***

# 6
A relaxed LuNi2Sn crystal. Source: the Materials Project database, functional GGA-PBE.

Unit cell a=4.519 b=4.519 c=4.519 alpha=60.00 beta=60.00 gamma=60.00
Atoms (fractional coordinates):
Lu1 0.500 0.500 0.500
Ni1 0.750 0.750 0.750
Ni2 0.250 0.250 0.250
Sn1 0.000 0.000 0.000

## Properties
The value obtained for the calculated formation energy is -0.5164 eV/atom. Its symmetry is Fm-3m. The value obtained for the uncorrected energy is -0.20356 hartree per atom.